# 1
DFT (GGA+U) results for a relaxed VO crystal.

Structure (POSCAR):
```
VO
1.0
0.0040 0.0060 3.1646
-5.2676 -0.0623 -0.0176
0.8171 -5.1276 1.5755
V O
4 4
direct
0.4997 0.4942 0.9996
0.9997 0.9942 0.9996
0.7503 0.7558 0.5004
0.2503 0.2558 0.5004
0.3750 0.8750 0.2500
0.6250 0.1250 0.7500
0.1250 0.6250 0.7500
0.8750 0.3750 0.2500
```

Computed properties:
**Volume**: 10.71 A^3/atom

# 2
DFT (GGA+U) results for a relaxed CaMn2P4O14 crystal.

Structure (POSCAR):
```
CaMn2P4O14
1.0
6.2435 0.1396 0.7314
0.1133 6.9818 2.8332
-0.0627 -6.4275 9.6961
O Mn P Ca
28 4 8 2
direct
0.1801 0.1642 0.8727
0.8100 0.3479 0.6173
0.5347 0.7109 0.9757
0.6981 0.6905 0.6713
0.5813 0.5246 0.1872
0.0942 0.5708 0.6177
0.8101 0.8479 0.1173
0.1249 0.4743 0.1870
0.8512 0.3581 0.0191
0.1250 0.9742 0.6871
0.4646 0.2821 0.0237
0.3117 0.8293 0.8338
0.6981 0.1905 0.1712
0.1801 0.6643 0.3727
0.8896 0.0307 0.3079
0.5346 0.2110 0.4757
0.1592 0.6500 0.9828
0.5813 0.0246 0.6871
0.4646 0.7819 0.5237
0.1592 0.1502 0.4828
0.9130 0.4196 0.3762
0.4116 0.4911 0.8005
0.0943 0.0709 0.1178
0.3117 0.3293 0.3337
0.9130 0.9195 0.8762
0.8512 0.8580 0.5190
0.4116 0.9910 0.3006
0.8897 0.5306 0.8079
0.8499 0.7032 0.9572
0.1536 0.7961 0.5374
0.1536 0.2962 0.0375
0.8498 0.2033 0.4572
0.3569 0.6580 0.8937
0.8805 0.5338 0.6762
0.6444 0.8500 0.5996
0.1161 0.9729 0.8206
0.6444 0.3501 0.0996
0.3568 0.1580 0.3937
0.1160 0.4729 0.3206
0.8806 0.0339 0.1762
0.3352 0.7490 0.1774
0.3351 0.2490 0.6775
```

Computed properties:
**M_tot**: 0.00 μB per atom
**Volume**: 12.76 A^3/atom
**Relative energy among the computed polymorphs**: 0.0000 eV per atom

# 3
DFT (GGA+U) results for a relaxed LiV3O5F3 crystal.

Structure (POSCAR):
```
LiV3O5F3
1.0
3.8349 0.0000 0.0000
0.0000 6.6558 0.0000
0.0000 2.6282 11.7633
O V F Li
10 6 6 2
direct
0.5000 0.1261 0.6705
0.0000 0.0348 0.0696
0.0000 0.8640 0.3296
0.5000 0.9666 0.9354
0.5000 0.5011 0.7105
0.5000 0.6160 0.4760
0.0000 0.3881 0.5240
0.0000 0.4919 0.2800
0.5000 0.3518 0.9535
0.0000 0.1817 0.8289
0.5000 0.2705 0.7986
0.5000 0.3212 0.5442
0.5000 0.1356 0.0563
0.0000 0.7271 0.2010
0.0000 0.9204 0.9248
0.0000 0.6801 0.4611
0.0000 0.6615 0.0466
0.5000 0.1797 0.4264
0.5000 0.2057 0.1992
0.5000 0.7945 0.1757
0.0000 0.7668 0.8170
0.0000 0.8213 0.5794
0.5000 0.8119 0.6790
0.0000 0.1814 0.3126
```

Computed properties:
**Space-group type**: Pm (6)
**M_tot**: 0.25 μB per atom
**Volume**: 12.51 A^3/atom
**Relative energy among the computed polymorphs**: 0.0421 eV per atom

# 4
DFT (GGA+U) results for a relaxed ZnNi3O7 crystal.

Structure (POSCAR):
```
ZnNi3O7
1.0
-0.3261 -4.5051 -2.7305
9.7900 0.7176 -2.3533
2.4215 -5.3011 8.4573
O Zn Ni
28 4 12
direct
0.9437 0.3767 0.2870
0.5413 0.8798 0.7059
0.9587 0.8798 0.2059
0.4437 0.8767 0.2130
0.4437 0.6233 0.2130
0.8558 0.2500 0.5590
0.7495 0.8995 0.9651
0.5413 0.6202 0.7059
0.2495 0.3995 0.5349
0.9437 0.1233 0.2870
0.7495 0.6005 0.9651
0.3558 0.7500 0.9410
0.0413 0.1202 0.7941
0.7505 0.8995 0.4651
0.1442 0.7500 0.4410
0.7505 0.6005 0.4651
0.9587 0.6202 0.2059
0.5563 0.3767 0.7870
0.0563 0.6233 0.7130
0.5563 0.1233 0.7870
0.0413 0.3798 0.7941
0.0563 0.8767 0.7130
0.4587 0.3798 0.2941
0.2505 0.3995 0.0349
0.2505 0.1005 0.0349
0.4587 0.1202 0.2941
0.2495 0.1005 0.5349
0.6442 0.2500 0.0590
0.3565 0.2500 0.9199
0.8565 0.7500 0.5801
0.1435 0.2500 0.4199
0.6435 0.7500 0.0801
0.7940 0.5250 0.8049
0.2060 0.4750 0.1951
0.1901 0.7500 0.2566
0.2940 0.4750 0.6951
0.8099 0.2500 0.7434
0.7060 0.9750 0.3049
0.6901 0.2500 0.2434
0.7060 0.5250 0.3049
0.2940 0.0250 0.6951
0.3099 0.7500 0.7566
0.2060 0.0250 0.1951
0.7940 0.9750 0.8049
```

Computed properties:
**Space-group type**: Pnma (62)
**M_tot**: 0.66 μB per atom
**Volume**: 12.44 A^3/atom

# 5
DFT (GGA+U) results for a relaxed Li9V4P6O24 crystal.

Structure (POSCAR):
```
Li9V4P6O24
1.0
8.4871 0.0000 0.0000
4.2382 7.3634 0.0000
4.2253 2.4322 7.9187
O V P Li
24 4 6 9
direct
0.5268 0.1743 0.7820
0.5614 0.2009 0.0940
0.0009 0.5960 0.5901
0.8393 0.5002 0.1966
0.4717 0.8431 0.2082
0.7874 0.8659 0.8986
0.2458 0.8705 0.7270
0.8398 0.7537 0.2688
0.8011 0.9985 0.5866
0.4086 0.1758 0.4088
0.1956 0.0026 0.4139
0.8548 0.1637 0.7243
0.5905 0.8218 0.5891
0.8641 0.4433 0.9043
0.1616 0.2471 0.7292
0.1470 0.8377 0.2735
0.7528 0.1272 0.2744
0.4425 0.7906 0.9055
0.1426 0.5593 0.0970
0.5041 0.4590 0.2002
0.1762 0.4989 0.7925
0.4958 0.5377 0.7898
0.2035 0.1401 0.1019
0.0010 0.4058 0.4098
0.6532 0.6532 0.0439
0.3408 0.3426 0.9725
0.8722 0.8380 0.4338
0.1297 0.1624 0.5623
0.5541 0.2457 0.2438
0.7477 0.0479 0.7457
0.4458 0.7532 0.7545
0.9551 0.5490 0.2473
0.2520 0.9554 0.2524
0.0473 0.4519 0.7508
0.5373 0.0919 0.5774
0.2739 0.6557 0.1470
0.9230 0.2726 0.1408
0.4445 0.4581 0.6478
0.6940 0.9300 0.1072
0.0704 0.7282 0.8681
0.3012 0.0653 0.8959
0.4680 0.9031 0.4131
0.7291 0.3395 0.8615
```

Computed properties:
**Space-group type**: P1 (1)
**M_tot**: 0.26 μB per atom
**Volume**: 11.51 A^3/atom

# 6
DFT (GGA+U) results for a relaxed Li2Ni3O6 crystal.

Structure (POSCAR):
```
Li2Ni3O6
1.0
2.4366 4.2990 0.0000
-2.4366 4.2990 0.0000
0.0000 0.0769 9.7921
Li Ni O
4 6 12
direct
0.5398 0.9833 0.5037
0.9833 0.5398 0.0037
0.6534 0.2055 0.0026
0.2055 0.6534 0.5026
0.2528 0.9655 0.7552
0.6330 0.9166 0.2467
0.9166 0.6330 0.7467
0.9655 0.2528 0.2552
0.5834 0.2987 0.7450
0.2987 0.5834 0.2450
0.6045 0.9385 0.8570
0.9110 0.3011 0.8489
0.2576 0.3168 0.6420
0.9523 0.9198 0.1463
0.6670 0.5753 0.1452
0.9198 0.9523 0.6463
0.5753 0.6670 0.6452
0.9385 0.6045 0.3570
0.3011 0.9110 0.3489
0.3168 0.2576 0.1420
0.2436 0.6053 0.8537
0.6053 0.2436 0.3537
```

Computed properties:
**Space-group type**: Cc (9)
**M_tot**: 0.18 μB per atom
**Volume**: 9.32 A^3/atom
**Relative energy among the computed polymorphs**: 0.0234 eV per atom

# 7
DFT (GGA+U) results for a relaxed KCoF4 crystal.

Structure (POSCAR):
```
KCoF4
1.0
5.8811 0.0000 0.0000
0.0000 7.7024 0.0000
0.0000 0.0000 7.7239
K F Co
4 16 4
direct
0.5680 0.5000 0.5000
0.4937 0.0000 0.5000
0.4320 0.0000 0.0000
0.5063 0.5000 0.0000
0.9011 0.7529 0.4951
0.7115 0.8243 0.7946
0.2908 0.2965 0.3122
0.7092 0.2035 0.8122
0.7092 0.7965 0.1878
0.7115 0.1757 0.2054
0.2885 0.6757 0.2946
0.8945 0.4902 0.2339
0.9011 0.2471 0.5049
0.0989 0.2529 0.0049
0.2908 0.7035 0.6878
0.1055 0.9902 0.2661
0.2885 0.3243 0.7054
0.1055 0.0098 0.7339
0.0989 0.7471 0.9951
0.8945 0.5098 0.7661
0.0002 0.2574 0.7528
0.0002 0.7426 0.2472
0.9998 0.7574 0.7472
0.9998 0.2426 0.2528
```

Computed properties:
**Space-group type**: P2_12_12 (18)
**M_tot**: 0.33 μB per atom
**Volume**: 14.58 A^3/atom

# 8
DFT (GGA+U) results for a relaxed Mn3TeO8 crystal.

Structure (POSCAR):
```
Mn3TeO8
1.0
-1.5619 0.6922 5.7421
-3.7167 -2.7585 -3.8037
3.9569 -8.1745 2.0618
O Mn Te
16 6 2
direct
0.1748 0.3496 0.5967
0.6504 0.8252 0.5967
0.8252 0.1748 0.0967
0.3333 0.6667 0.1149
0.0000 0.0000 0.7973
0.6667 0.3333 0.6149
0.8252 0.6504 0.0967
0.1748 0.8252 0.5967
0.9594 0.4797 0.8481
0.0406 0.5203 0.3481
0.5203 0.4797 0.8481
0.4797 0.5203 0.3481
0.5203 0.0406 0.8481
0.0000 0.0000 0.2973
0.4797 0.9594 0.3481
0.3496 0.1748 0.0967
0.8317 0.1683 0.7086
0.6634 0.8317 0.2086
0.1683 0.8317 0.2086
0.1683 0.3366 0.2086
0.3366 0.1683 0.7086
0.8317 0.6634 0.7086
0.6667 0.3333 0.9848
0.3333 0.6667 0.4848
```

Computed properties:
**Space-group type**: P6_3mc (186)
**M_tot**: 0.92 μB per atom
**Volume**: 12.06 A^3/atom

What are the DFT total energy values for these records? In order: -7.9078, -7.3338, -6.7909, -4.3062, -6.8668, -4.8266, -4.5181, -6.7007 eV per atom.